Density functional theory data (GGA-PBE) for a relaxed Ca2CdN2 crystal.

```
5
Lattice="-3.1166 -1.7372 0.4998 4.1795 -0.8300 -2.7934 3.7773 -1.3089 6.0406" Properties=species:S:1:pos:R:3 pbc="T T T"
Ca -0.0713 -1.6313 0.3781
Ca 4.9115 -2.2448 3.3689
Cd 1.8887 -0.6545 3.0203
N 2.7331 -1.7196 4.6001
N 2.1072 -2.1566 -0.8532
```

Summary:
The value obtained for the spin magnetization is 0.00 μB/cell. The value obtained for the MP2020-corrected energy is -4.990 eV/atom. Its final energy is -24.228 eV per cell. Its formation energy is -3.34 eV per formula unit.


Density functional theory data (GGA-PBE) for a relaxed Ca2CdN2 crystal.

```
20
Lattice="-4.4023 2.1083 5.0956 -3.9932 -6.3240 -0.8334 3.7987 -2.9521 4.2001" Properties=species:S:1:pos:R:3 pbc="T T T"
Ca 0.4761 -4.2299 5.3709
Ca -4.0499 -5.8019 5.0086
Ca -5.0729 -2.9380 3.0915
Ca -0.5469 -1.3660 3.4537
Ca -1.9925 -1.0589 7.9965
Ca 0.1651 -6.2071 2.7474
Ca -2.6043 -6.1090 0.4658
Ca -4.7619 -0.9608 5.7149
Cd -2.4326 -2.8807 5.5724
Cd -1.5523 -7.8020 4.7213
Cd -2.1642 -4.2871 2.8899
Cd -3.0445 0.6342 3.7411
N -2.4583 -6.5979 3.0360
N -1.1610 -3.5059 7.3340
N -2.1385 -0.5699 5.4263
N -3.4358 -3.6620 1.1283
N -0.0251 -3.6481 3.1386
N -3.5744 -6.4244 7.2356
N -4.5717 -3.5198 5.3238
N -1.0224 -0.7434 1.2268
```

Summary:
The value obtained for the spin magnetization is 0.00 μB/cell. The value obtained for the MP2020-corrected energy is -4.896 eV/atom. Its final energy is -95.034 eV per cell. Its formation energy is -2.87 eV per formula unit.


Density functional theory data (GGA-PBE) for a relaxed CaNdCd2 crystal.

```
4
Lattice="-3.3191 -3.1273 2.9773 -4.8733 1.8883 1.5318 -4.5333 -2.0446 -2.2202" Properties=species:S:1:pos:R:3 pbc="T T T"
Ca -6.3629 -1.6418 1.1444
Nd 0.0000 0.0000 0.0000
Cd -9.5443 -2.4627 1.7166
Cd -3.1814 -0.8209 0.5722
```

Summary:
Its final energy is -10.074 eV per cell. Its formation energy is -1.45 eV per formula unit.